No. 1
VASP calculation (GGA+U) on a relaxed Sr2Ca2Fe3CoO10 crystal.

Values from the calculation:
Formation energy from the elements ... -2.3175 eV per atom
Symmetry ... P1 (1)
Calculated density ... 4.45 g/cm³
Total magnetization ... 137.66 Bohr magnetons per cell

Lattice parameters (Å, degrees): 10.904 11.339 17.377 108.83 108.24 90.30
Element x y z (fractional)
Sr 0.000 0.000 0.000
Sr 0.000 0.495 0.000
Sr 0.113 0.124 0.717
Sr 0.113 0.625 0.224
Sr 0.250 0.764 0.999
Sr 0.256 0.264 0.001
Sr 0.357 0.853 0.716
Sr 0.364 0.859 0.225
Sr 0.368 0.359 0.225
Sr 0.501 0.000 0.000
Sr 0.501 0.495 0.999
Sr 0.606 0.124 0.717
Sr 0.614 0.625 0.224
Sr 0.751 0.765 0.999
Sr 0.862 0.357 0.716
Sr 0.863 0.859 0.225
Ca 0.006 0.492 0.504
Ca 0.009 0.992 0.504
Ca 0.109 0.627 0.713
Ca 0.113 0.131 0.220
Ca 0.255 0.775 0.505
Ca 0.258 0.271 0.503
Ca 0.363 0.348 0.712
Ca 0.502 0.993 0.505
Ca 0.505 0.494 0.506
Ca 0.610 0.628 0.714
Ca 0.614 0.133 0.220
Ca 0.749 0.270 0.005
Ca 0.754 0.773 0.505
Ca 0.759 0.272 0.503
Ca 0.855 0.352 0.219
Ca 0.858 0.848 0.713
Fe 0.053 0.312 0.113
Fe 0.056 0.814 0.114
Fe 0.196 0.968 0.860
Fe 0.202 0.471 0.366
Fe 0.202 0.471 0.856
Fe 0.204 0.977 0.364
Fe 0.305 0.561 0.111
Fe 0.307 0.064 0.115
Fe 0.449 0.648 0.855
Fe 0.453 0.153 0.859
Fe 0.455 0.155 0.363
Fe 0.455 0.652 0.365
Fe 0.555 0.813 0.113
Fe 0.697 0.470 0.859
Fe 0.702 0.969 0.860
Fe 0.706 0.977 0.365
Fe 0.708 0.471 0.367
Fe 0.800 0.059 0.606
Fe 0.803 0.560 0.112
Fe 0.804 0.064 0.114
Fe 0.945 0.148 0.856
Fe 0.949 0.654 0.856
Fe 0.953 0.649 0.363
Fe 0.954 0.157 0.362
Co 0.048 0.807 0.605
Co 0.053 0.310 0.606
Co 0.300 0.060 0.605
Co 0.301 0.558 0.608
Co 0.549 0.808 0.606
Co 0.551 0.310 0.606
Co 0.555 0.312 0.112
Co 0.800 0.560 0.607
O 0.108 0.845 0.755
O 0.111 0.350 0.753
O 0.115 0.354 0.253
O 0.121 0.857 0.253
O 0.122 0.122 0.859
O 0.123 0.623 0.851
O 0.132 0.132 0.361
O 0.134 0.629 0.371
O 0.162 0.680 0.593
O 0.170 0.188 0.594
O 0.175 0.184 0.106
O 0.176 0.685 0.104
O 0.177 0.933 0.615
O 0.183 0.438 0.119
O 0.184 0.942 0.122
O 0.187 0.443 0.621
O 0.213 0.957 0.468
O 0.218 0.454 0.472
O 0.230 0.471 0.971
O 0.231 0.971 0.975
O 0.353 0.657 0.747
O 0.361 0.153 0.251
O 0.370 0.164 0.749
O 0.371 0.001 0.857
O 0.371 0.649 0.251
O 0.377 0.489 0.851
O 0.381 0.500 0.370
O 0.385 0.003 0.371
O 0.418 0.670 0.596
O 0.422 0.181 0.593
O 0.426 0.683 0.104
O 0.432 0.184 0.106
O 0.433 0.935 0.615
O 0.437 0.946 0.123
O 0.439 0.439 0.120
O 0.439 0.441 0.623
O 0.462 0.778 0.465
O 0.465 0.280 0.465
O 0.475 0.266 0.968
O 0.477 0.763 0.969
O 0.609 0.846 0.755
O 0.610 0.351 0.753
O 0.622 0.352 0.258
O 0.622 0.858 0.254
O 0.625 0.624 0.852
O 0.633 0.132 0.362
O 0.634 0.128 0.866
O 0.634 0.627 0.370
O 0.665 0.684 0.596
O 0.669 0.183 0.593
O 0.674 0.189 0.103
O 0.676 0.683 0.103
O 0.683 0.935 0.619
O 0.684 0.445 0.619
O 0.684 0.944 0.123
O 0.685 0.434 0.122
O 0.717 0.959 0.471
O 0.722 0.457 0.473
O 0.727 0.463 0.972
O 0.732 0.969 0.974
O 0.855 0.663 0.748
O 0.860 0.161 0.250
O 0.862 0.156 0.745
O 0.869 0.652 0.250
O 0.874 0.502 0.859
O 0.874 0.987 0.850
O 0.885 0.004 0.370
O 0.885 0.491 0.363
O 0.916 0.676 0.597
O 0.921 0.176 0.592
O 0.923 0.185 0.105
O 0.926 0.681 0.103
O 0.931 0.439 0.121
O 0.931 0.936 0.618
O 0.939 0.947 0.124
O 0.940 0.442 0.619
O 0.956 0.775 0.463
O 0.965 0.280 0.465
O 0.967 0.260 0.969
O 0.980 0.767 0.970

=====

No. 2
VASP calculation (GGA+U) on a relaxed Sr7CaFe4Co4O20 crystal.

Values from the calculation:
Formation energy from the elements ... -2.2318 eV per atom
Symmetry ... P1 (1)
Calculated density ... 4.83 g/cm³
Total magnetization ... 134.78 Bohr magnetons per cell

Lattice parameters (Å, degrees): 10.868 11.306 17.838 108.43 107.57 90.31
Element x y z (fractional)
Sr 0.000 0.000 0.000
Sr 0.000 0.496 0.496
Sr 0.002 0.998 0.496
Sr 0.004 0.499 0.000
Sr 0.110 0.589 0.717
Sr 0.112 0.090 0.718
Sr 0.247 0.227 0.493
Sr 0.251 0.232 0.000
Sr 0.251 0.728 0.494
Sr 0.253 0.732 0.001
Sr 0.359 0.355 0.717
Sr 0.362 0.857 0.217
Sr 0.362 0.858 0.717
Sr 0.499 0.998 0.496
Sr 0.500 0.495 0.494
Sr 0.501 0.998 0.000
Sr 0.502 0.499 0.001
Sr 0.609 0.088 0.717
Sr 0.610 0.588 0.215
Sr 0.612 0.590 0.717
Sr 0.748 0.727 0.495
Sr 0.751 0.229 0.000
Sr 0.752 0.231 0.494
Sr 0.752 0.731 0.001
Sr 0.858 0.856 0.717
Sr 0.859 0.356 0.216
Sr 0.860 0.857 0.216
Sr 0.863 0.358 0.717
Ca 0.107 0.082 0.212
Ca 0.112 0.584 0.213
Ca 0.359 0.365 0.213
Ca 0.615 0.080 0.213
Fe 0.198 0.883 0.354
Fe 0.200 0.886 0.858
Fe 0.201 0.386 0.858
Fe 0.203 0.382 0.352
Fe 0.447 0.700 0.356
Fe 0.449 0.202 0.352
Fe 0.449 0.702 0.857
Fe 0.450 0.203 0.859
Fe 0.697 0.379 0.353
Fe 0.700 0.885 0.858
Fe 0.701 0.384 0.858
Fe 0.701 0.887 0.357
Fe 0.950 0.201 0.353
Fe 0.950 0.202 0.857
Fe 0.951 0.703 0.859
Fe 0.952 0.701 0.355
Co 0.054 0.293 0.607
Co 0.054 0.793 0.607
Co 0.055 0.795 0.111
Co 0.057 0.298 0.115
Co 0.303 0.042 0.606
Co 0.304 0.542 0.607
Co 0.305 0.546 0.111
Co 0.309 0.048 0.117
Co 0.552 0.792 0.605
Co 0.554 0.294 0.607
Co 0.554 0.295 0.112
Co 0.555 0.795 0.110
Co 0.803 0.043 0.606
Co 0.803 0.543 0.606
Co 0.804 0.044 0.111
Co 0.805 0.544 0.110
O 0.116 0.400 0.249
O 0.116 0.886 0.747
O 0.117 0.901 0.250
O 0.118 0.389 0.750
O 0.126 0.223 0.347
O 0.127 0.229 0.858
O 0.127 0.722 0.348
O 0.128 0.729 0.858
O 0.175 0.681 0.613
O 0.178 0.417 0.103
O 0.179 0.177 0.614
O 0.179 0.187 0.122
O 0.180 0.925 0.103
O 0.182 0.420 0.600
O 0.182 0.921 0.599
O 0.184 0.676 0.120
O 0.223 0.993 0.463
O 0.223 0.999 0.965
O 0.224 0.497 0.966
O 0.227 0.490 0.463
O 0.354 0.088 0.246
O 0.361 0.584 0.250
O 0.367 0.091 0.749
O 0.367 0.590 0.746
O 0.376 0.856 0.356
O 0.377 0.858 0.857
O 0.378 0.358 0.858
O 0.379 0.359 0.348
O 0.425 0.162 0.612
O 0.425 0.414 0.103
O 0.425 0.661 0.612
O 0.427 0.170 0.121
O 0.429 0.910 0.598
O 0.429 0.918 0.102
O 0.432 0.406 0.599
O 0.434 0.673 0.117
O 0.472 0.697 0.964
O 0.473 0.201 0.461
O 0.474 0.198 0.967
O 0.474 0.696 0.465
O 0.609 0.390 0.248
O 0.617 0.386 0.747
O 0.617 0.888 0.750
O 0.618 0.900 0.252
O 0.623 0.731 0.356
O 0.626 0.217 0.348
O 0.627 0.228 0.858
O 0.628 0.728 0.858
O 0.675 0.182 0.613
O 0.675 0.914 0.101
O 0.677 0.413 0.100
O 0.679 0.172 0.119
O 0.679 0.676 0.614
O 0.682 0.421 0.599
O 0.682 0.921 0.600
O 0.684 0.675 0.116
O 0.722 0.492 0.462
O 0.726 0.997 0.966
O 0.727 0.496 0.966
O 0.727 0.998 0.467
O 0.857 0.089 0.248
O 0.864 0.588 0.248
O 0.866 0.091 0.747
O 0.867 0.591 0.749
O 0.876 0.357 0.356
O 0.877 0.856 0.357
O 0.877 0.858 0.858
O 0.878 0.358 0.857
O 0.925 0.662 0.613
O 0.926 0.163 0.613
O 0.929 0.917 0.102
O 0.930 0.411 0.598
O 0.932 0.906 0.599
O 0.934 0.410 0.103
O 0.936 0.171 0.121
O 0.939 0.667 0.120
O 0.974 0.198 0.965
O 0.977 0.699 0.967
O 0.978 0.197 0.462
O 0.979 0.698 0.464

=====

No. 3
VASP calculation (GGA+U) on a relaxed Sr7CaFe7CoO20 crystal.

Values from the calculation:
Formation energy from the elements ... -2.3416 eV per atom
Symmetry ... P1 (1)
Calculated density ... 4.74 g/cm³
Total magnetization ... 144.00 Bohr magnetons per cell

Lattice parameters (Å, degrees): 11.074 11.432 17.639 108.80 108.25 90.06
Element x y z (fractional)
Sr 0.000 0.000 0.000
Sr 0.000 0.499 0.000
Sr 0.003 0.998 0.501
Sr 0.109 0.629 0.716
Sr 0.110 0.129 0.221
Sr 0.112 0.628 0.222
Sr 0.113 0.124 0.716
Sr 0.249 0.270 0.500
Sr 0.250 0.268 0.001
Sr 0.250 0.768 0.000
Sr 0.356 0.857 0.715
Sr 0.360 0.357 0.716
Sr 0.362 0.860 0.222
Sr 0.363 0.362 0.223
Sr 0.501 0.000 0.000
Sr 0.501 0.499 0.000
Sr 0.606 0.125 0.717
Sr 0.607 0.627 0.716
Sr 0.609 0.628 0.220
Sr 0.610 0.128 0.220
Sr 0.751 0.267 0.000
Sr 0.751 0.767 0.000
Sr 0.752 0.272 0.500
Sr 0.753 0.767 0.500
Sr 0.859 0.359 0.717
Sr 0.860 0.361 0.222
Sr 0.860 0.860 0.221
Sr 0.862 0.855 0.716
Ca 0.246 0.777 0.504
Ca 0.494 0.498 0.504
Ca 0.495 0.996 0.504
Ca 0.996 0.499 0.504
Fe 0.058 0.315 0.112
Fe 0.058 0.315 0.608
Fe 0.058 0.814 0.111
Fe 0.161 0.472 0.858
Fe 0.162 0.478 0.363
Fe 0.162 0.973 0.860
Fe 0.164 0.971 0.359
Fe 0.307 0.063 0.110
Fe 0.307 0.563 0.109
Fe 0.410 0.656 0.365
Fe 0.412 0.655 0.860
Fe 0.413 0.155 0.861
Fe 0.414 0.155 0.363
Fe 0.553 0.810 0.603
Fe 0.555 0.312 0.605
Fe 0.557 0.314 0.110
Fe 0.557 0.813 0.109
Fe 0.660 0.475 0.361
Fe 0.660 0.974 0.363
Fe 0.661 0.472 0.858
Fe 0.661 0.971 0.858
Fe 0.807 0.061 0.607
Fe 0.808 0.064 0.110
Fe 0.808 0.564 0.111
Fe 0.911 0.153 0.858
Fe 0.912 0.157 0.361
Fe 0.913 0.651 0.361
Fe 0.913 0.655 0.861
Co 0.057 0.808 0.603
Co 0.304 0.561 0.602
Co 0.306 0.061 0.603
Co 0.805 0.561 0.605
O 0.001 0.770 0.465
O 0.133 0.365 0.250
O 0.134 0.858 0.248
O 0.136 0.359 0.748
O 0.142 0.859 0.753
O 0.177 0.675 0.591
O 0.179 0.185 0.104
O 0.179 0.683 0.103
O 0.180 0.181 0.599
O 0.185 0.446 0.614
O 0.186 0.444 0.118
O 0.187 0.945 0.119
O 0.193 0.949 0.615
O 0.236 0.636 0.368
O 0.238 0.125 0.860
O 0.238 0.624 0.859
O 0.240 0.124 0.360
O 0.245 0.469 0.970
O 0.245 0.971 0.972
O 0.251 0.955 0.463
O 0.259 0.458 0.463
O 0.383 0.656 0.253
O 0.388 0.157 0.252
O 0.392 0.167 0.756
O 0.392 0.667 0.755
O 0.423 0.682 0.594
O 0.425 0.177 0.595
O 0.427 0.186 0.102
O 0.427 0.686 0.103
O 0.432 0.941 0.613
O 0.435 0.442 0.118
O 0.435 0.442 0.615
O 0.436 0.942 0.119
O 0.488 0.502 0.859
O 0.489 0.001 0.859
O 0.489 0.005 0.369
O 0.489 0.506 0.370
O 0.495 0.768 0.973
O 0.496 0.269 0.973
O 0.496 0.279 0.470
O 0.499 0.779 0.470
O 0.628 0.360 0.249
O 0.631 0.860 0.251
O 0.633 0.358 0.747
O 0.633 0.859 0.747
O 0.673 0.180 0.597
O 0.673 0.677 0.596
O 0.678 0.184 0.103
O 0.678 0.684 0.103
O 0.683 0.943 0.616
O 0.686 0.444 0.119
O 0.686 0.445 0.615
O 0.686 0.944 0.119
O 0.738 0.124 0.859
O 0.738 0.624 0.859
O 0.738 0.625 0.359
O 0.739 0.123 0.360
O 0.744 0.469 0.969
O 0.745 0.969 0.970
O 0.751 0.967 0.470
O 0.759 0.461 0.462
O 0.884 0.159 0.250
O 0.884 0.159 0.749
O 0.887 0.654 0.249
O 0.892 0.667 0.756
O 0.924 0.676 0.597
O 0.928 0.188 0.600
O 0.928 0.686 0.102
O 0.929 0.187 0.102
O 0.936 0.441 0.118
O 0.936 0.442 0.616
O 0.936 0.942 0.119
O 0.936 0.942 0.617
O 0.988 0.002 0.859
O 0.988 0.500 0.368
O 0.989 0.501 0.859
O 0.992 0.007 0.361
O 0.995 0.267 0.969
O 0.996 0.276 0.469
O 0.996 0.769 0.973